No. 1
Below is a relaxed Rb2CrCl4 crystal, with properties calculated at the PBE-GGA level.

Computed properties:
Its energy above the most stable polymorph in this dataset is 0 meV per atom. The calculation puts the formation enthalpy at 0 K at -1.91 eV/atom.

Lattice parameters (Å, degrees): 8.8420 8.8420 7.2361 90.00 90.00 131.69
Fractional positions:
Rb1 0.8605 0.1395 0.5000
Rb2 0.6395 0.3605 0.0000
Rb3 0.3605 0.6395 0.0000
Rb4 0.1395 0.8605 0.5000
Cr1 0.0000 0.0000 0.0000
Cr2 0.5000 0.5000 0.5000
Cl1 0.6515 0.3485 0.5000
Cl2 0.2615 0.2615 0.7385
Cl3 0.8485 0.1515 0.0000
Cl4 0.1515 0.8485 0.0000
Cl5 0.7615 0.7615 0.7615
Cl6 0.7385 0.7385 0.2615
Cl7 0.3485 0.6515 0.5000
Cl8 0.2385 0.2385 0.2385

---

No. 2
Below is a relaxed CeTa7O19 crystal, with properties calculated at the PBE-GGA level.

Computed properties:
Its energy above the most stable polymorph in this dataset is 10 meV per atom. The calculation puts the formation enthalpy at 0 K at -3.40 eV/atom. As for the total magnetization: 2.0 μB per cell.

Lattice parameters (Å, degrees): 6.2963 6.2931 20.1498 90.00 90.00 120.03
Fractional positions:
Ce1 0.3324 0.6666 0.5000
Ce2 0.6677 0.3334 0.0000
Ta1 0.6414 0.9972 0.8448
Ta2 0.3557 0.3587 0.8448
Ta3 0.0030 0.6444 0.8447
Ta4 0.3555 0.9969 0.1553
Ta5 0.6412 0.6442 0.1552
Ta6 0.0028 0.3585 0.1552
Ta7 0.3586 0.0028 0.3448
Ta8 0.6443 0.6413 0.3448
Ta9 0.9970 0.3556 0.3447
Ta10 0.6445 0.0031 0.6553
Ta11 0.3588 0.3558 0.6553
Ta12 0.9973 0.6415 0.6553
Ta13 0.6662 0.3336 0.5000
Ta14 0.3338 0.6664 0.0000
O1 0.2429 0.9971 0.6544
O2 0.7542 0.7573 0.6544
O3 0.0032 0.2460 0.6544
O4 0.7540 0.9968 0.3456
O5 0.2428 0.2458 0.3456
O6 0.0031 0.7572 0.3456
O7 0.7571 0.0029 0.1544
O8 0.2459 0.2427 0.1544
O9 0.9967 0.7540 0.1543
O10 0.2460 0.0032 0.8456
O11 0.7572 0.7542 0.8456
O12 0.9969 0.2428 0.8456
O13 0.3692 0.9495 0.0554
O14 0.5803 0.6308 0.0553
O15 0.0505 0.4203 0.0554
O16 0.5801 0.9497 0.9447
O17 0.3691 0.4199 0.9447
O18 0.0505 0.6306 0.9446
O19 0.6307 0.0504 0.5554
O20 0.4198 0.3692 0.5553
O21 0.9496 0.5797 0.5554
O22 0.4199 0.0502 0.4447
O23 0.6309 0.5800 0.4447
O24 0.9496 0.3695 0.4446
O25 0.3335 0.6668 0.6344
O26 0.6668 0.3334 0.6583
O27 0.6668 0.3333 0.3417
O28 0.3333 0.6664 0.3656
O29 0.6665 0.3332 0.1344
O30 0.3332 0.6665 0.1583
O31 0.3332 0.6667 0.8417
O32 0.6667 0.3336 0.8656
O33 0.5997 0.0000 0.7499
O34 0.4003 0.4003 0.7500
O35 0.0000 0.5997 0.7500
O36 0.4003 0.0000 0.2500
O37 0.5997 0.5997 0.2500
O38 0.9999 0.4003 0.2500

---

No. 3
Below is a relaxed Ba2ErMgNbO6 crystal, with properties calculated at the PBE-GGA level.

Computed properties:
Its energy above the most stable polymorph in this dataset is 0 meV per atom. The calculation puts the formation enthalpy at 0 K at -2.82 eV/atom. As for the total magnetization: 1.6 μB per cell.

Lattice parameters (Å, degrees): 6.3390 6.3390 6.2736 60.34 60.34 55.90
Fractional positions:
Ba1 0.8110 0.8110 0.6890
Ba2 0.1890 0.1890 0.3110
Er1 0.0000 0.0000 0.0000
Mg1 0.5000 0.5000 0.0000
Nb1 0.5000 0.5000 0.5000
O1 0.2693 0.7307 0.7629
O2 0.2693 0.7307 0.2371
O3 0.7307 0.2693 0.7629
O4 0.2654 0.2654 0.7346
O5 0.7307 0.2693 0.2371
O6 0.7346 0.7346 0.2654